First-principles (PBE+U) data for crystalline Na4UCr3O14 at its relaxed geometry, as listed in Materials Project.

Results
Calculated volume ... 15.26 A^3/atom
Magnetic moment ... 0.00 μB/f.u.
DFT total energy ... -296.59 eV per cell
Formation energy from the elements ... -2.2316 eV per atom

abc: 7.3349 8.6444 11.6313
angles: 80.07 78.74 69.08
Positions (direct):
O: 0.0646 0.8303 0.4495
O: 0.3654 0.9665 0.6431
Cr: 0.4824 0.0777 0.2588
O: 0.7691 0.4952 0.5765
O: 0.4976 0.0981 0.7995
Na: 0.6608 0.1490 0.9561
O: 0.0578 0.5979 0.8516
O: 0.4861 0.5803 0.1774
O: 0.9422 0.4021 0.1484
Cr: 0.5176 0.9223 0.7412
O: 0.5334 0.2128 0.1512
O: 0.9518 0.9239 0.8871
O: 0.4669 0.6935 0.4076
Na: 0.2227 0.4639 0.2123
O: 0.7473 0.8338 0.6771
Cr: 0.7461 0.3390 0.5254
O: 0.2557 0.6230 0.6221
Na: 0.9560 0.0915 0.3261
Na: 0.7362 0.7792 0.4846
O: 0.1303 0.3331 0.7115
Cr: 0.2539 0.6610 0.4746
O: 0.5024 0.9019 0.2005
O: 0.0482 0.0761 0.1129
O: 0.2318 0.2733 0.9653
Na: 0.7773 0.5361 0.7877
Na: 0.0440 0.9085 0.6739
O: 0.5331 0.3065 0.5924
O: 0.6346 0.0335 0.3569
O: 0.2309 0.5048 0.4235
Na: 0.2638 0.2208 0.5154
O: 0.8518 0.3157 0.9564
U: 0.6811 0.6189 0.2332
O: 0.7682 0.7267 0.0347
O: 0.9354 0.1697 0.5505
O: 0.2527 0.1662 0.3229
Cr: 0.0165 0.2656 0.0451
O: 0.7443 0.3770 0.3779
Cr: 0.9835 0.7344 0.9549
O: 0.8697 0.6669 0.2885
O: 0.5139 0.4197 0.8226
O: 0.4666 0.7872 0.8488
O: 0.1482 0.6843 0.0436
U: 0.3189 0.3811 0.7668
Na: 0.3392 0.8510 0.0439